Record 1
Below is crystalline Li3MnVP3O12 at its relaxed geometry, with properties calculated at the PBE+U level.

- Space group: P1, No. 1
- E_form: -2.594 eV/atom
- Polymorph energy (0 for the lowest one): 1.222 eV per formula unit

a = 9.7249 Å, b = 9.8223 Å, c = 9.8459 Å
α = 84.68°, β = 86.24°, γ = 87.32°
Positions (direct):
P (0.5732, 0.4432, 0.1628)
O (0.4127, 0.8763, 0.4011)
O (0.9401, 0.2039, 0.0936)
O (0.2887, 0.8760, 0.6337)
O (0.6505, 0.1931, 0.5998)
O (0.3597, 0.6311, 0.3225)
Li (0.7984, 0.7438, 0.6296)
Mn (0.4973, 0.7573, 0.2489)
O (0.0566, 0.9068, 0.8000)
Mn (0.7206, 0.7385, 0.0327)
P (0.4042, 0.8215, 0.9496)
Li (0.2340, 0.5068, 0.9868)
O (0.8123, 0.9123, 0.7137)
P (0.3038, 0.3390, 0.6814)
O (0.2093, 0.0993, 0.3801)
Li (0.9622, 0.9353, 0.2885)
Mn (0.0007, 0.2429, 0.7566)
P (0.4279, 0.8366, 0.5584)
Li (0.1798, 0.7297, 0.7606)
P (0.1968, 0.6546, 0.3149)
P (0.0966, 0.1744, 0.0544)
V (0.0020, 0.4646, 0.5328)
O (0.6389, 0.6694, 0.3737)
O (0.5628, 0.8186, 0.9177)
O (0.9424, 0.0993, 0.3960)
O (0.1393, 0.5933, 0.4546)
Li (0.3940, 0.2587, 0.9980)
Li (0.8189, 0.2409, 0.2683)
P (0.6981, 0.3173, 0.6643)
O (0.6370, 0.4580, 0.6143)
P (0.5943, 0.0530, 0.1833)
O (0.5882, 0.6036, 0.1231)
O (0.8631, 0.5424, 0.4072)
O (0.4426, 0.6749, 0.5913)
V (0.2798, 0.9680, 0.2542)
Li (0.4784, 0.5557, 0.7852)
Mn (0.5039, 0.5328, 0.4683)
O (0.1875, 0.2882, 0.0857)
O (0.3343, 0.1820, 0.6890)
O (0.1315, 0.0320, 0.1243)
O (0.8759, 0.1047, 0.8392)
O (0.8629, 0.3214, 0.6305)
P (0.9006, 0.9441, 0.8272)
O (0.3707, 0.8301, 0.1101)
O (0.8427, 0.8046, 0.4154)
O (0.9390, 0.5865, 0.6804)
P (0.9271, 0.5536, 0.8390)
O (0.1535, 0.8102, 0.2970)
O (0.0711, 0.3144, 0.4117)
O (0.7117, 0.3702, 0.1202)
Li (0.7624, 0.0118, 0.4954)
O (0.3458, 0.9606, 0.8861)
O (0.8608, 0.8715, 0.9709)
P (0.8031, 0.6795, 0.3467)
O (0.7878, 0.6200, 0.8844)
V (0.2165, 0.0284, 0.7489)
Li (0.6063, 0.0012, 0.7434)
Li (0.2010, 0.3771, 0.2502)
Li (0.5264, 0.2149, 0.4462)
P (0.0729, 0.1558, 0.4465)
O (0.9210, 0.3951, 0.8808)
O (0.0551, 0.6055, 0.8993)
O (0.3367, 0.6974, 0.9029)
O (0.6577, 0.1111, 0.0429)
O (0.6261, 0.8928, 0.1835)
Li (0.0352, 0.7070, 0.0657)
O (0.3710, 0.3925, 0.5406)
O (0.6649, 0.3043, 0.8224)
O (0.3506, 0.4020, 0.8061)
O (0.1556, 0.5820, 0.1932)
O (0.1224, 0.1640, 0.8930)
O (0.4361, 0.0863, 0.1811)
V (0.7850, 0.2514, 0.9709)
O (0.5576, 0.4102, 0.3237)
O (0.4473, 0.4020, 0.0968)
O (0.6581, 0.1063, 0.3053)
O (0.0805, 0.1170, 0.6042)
O (0.8441, 0.6943, 0.1896)
O (0.5534, 0.9043, 0.5996)
O (0.1412, 0.3717, 0.6749)

Record 2
Below is crystalline Li6MnV3P6O24 at its relaxed geometry, with properties calculated at the PBE+U level.

- Space group: P1, No. 1
- E_form: -2.635 eV/atom
- Polymorph energy (0 for the lowest one): 2.062 eV per formula unit

a = 10.2421 Å, b = 10.2086 Å, c = 16.6796 Å
α = 89.51°, β = 90.01°, γ = 108.52°
Positions (direct):
V (0.4999, 0.4999, 0.4999)
O (0.6089, 0.9870, 0.6018)
P (0.9404, 0.0661, 0.6876)
O (0.4463, 0.1440, 0.9433)
O (0.6511, 0.7632, 0.8564)
P (0.0619, 0.9380, 0.3129)
O (0.8327, 0.8372, 0.4532)
O (0.7886, 0.3792, 0.5033)
P (0.6848, 0.3090, 0.4376)
O (0.5534, 0.8554, 0.0573)
O (0.4892, 0.5984, 0.3957)
O (0.6019, 0.4867, 0.8989)
O (0.5108, 0.4006, 0.6035)
O (0.3490, 0.7379, 0.3527)
O (0.5928, 0.5863, 0.2051)
O (0.1348, 0.5434, 0.2537)
Li (0.7510, 0.0010, 0.8748)
P (0.9990, 0.7519, 0.6239)
Mn (0.7495, 0.7505, 0.7504)
O (0.6041, 0.8108, 0.3045)
V (0.2500, 0.2507, 0.7498)
O (0.4031, 0.4088, 0.7951)
O (0.0479, 0.8477, 0.9388)
P (0.6883, 0.8138, 0.0618)
O (0.2371, 0.8530, 0.8500)
Li (0.2503, 0.0020, 0.6243)
P (0.0623, 0.4372, 0.1886)
Li (0.8141, 0.6894, 0.9379)
O (0.1067, 0.4894, 0.1018)
O (0.6606, 0.1513, 0.4539)
O (0.9403, 0.1433, 0.4470)
O (0.8408, 0.3486, 0.0464)
V (0.7500, 0.7492, 0.2502)
Mn (0.5002, 0.9999, 0.0000)
Mn (0.0000, 0.5001, 0.5000)
O (0.3974, 0.6963, 0.1910)
Li (0.4378, 0.0632, 0.8126)
O (0.4402, 0.1465, 0.5557)
O (0.8981, 0.1876, 0.3077)
P (0.5597, 0.4345, 0.8121)
V (0.0000, 0.0001, 0.0001)
O (0.8979, 0.0142, 0.6006)
O (0.1509, 0.7620, 0.1471)
O (0.6005, 0.2992, 0.8101)
O (0.1026, 0.8134, 0.6928)
O (0.3399, 0.8491, 0.5460)
Li (0.9380, 0.0630, 0.1865)
O (0.8910, 0.5132, 0.8983)
O (0.2863, 0.8790, 0.0033)
P (0.5001, 0.2484, 0.1232)
O (0.5496, 0.3478, 0.4396)
O (0.7025, 0.6081, 0.5032)
Li (0.7496, 0.4989, 0.1245)
O (0.1011, 0.3012, 0.1927)
P (0.1910, 0.3181, 0.5619)
O (0.1028, 0.8033, 0.3091)
Li (0.9374, 0.5600, 0.3123)
O (0.9459, 0.6427, 0.4431)
P (0.1832, 0.8089, 0.9373)
O (0.0606, 0.3527, 0.9445)
Li (0.3110, 0.6889, 0.0610)
V (0.5005, 0.9997, 0.5000)
O (0.0899, 0.5903, 0.7952)
O (0.0608, 0.8568, 0.5532)
P (0.4997, 0.2487, 0.6251)
O (0.0544, 0.3578, 0.5563)
O (0.4369, 0.6476, 0.9463)
P (0.0003, 0.2512, 0.8750)
Li (0.8117, 0.1885, 0.5619)
P (0.3108, 0.1848, 0.9386)
O (0.9062, 0.4116, 0.2055)
O (0.9907, 0.6010, 0.6032)
V (0.2501, 0.7500, 0.2499)
O (0.8965, 0.6892, 0.1956)
P (0.4379, 0.0626, 0.3115)
P (0.8098, 0.6832, 0.4378)
O (0.2612, 0.1417, 0.8519)
O (0.7132, 0.1208, 0.9964)
O (0.3952, 0.5114, 0.1001)
O (0.6012, 0.3080, 0.1929)
P (0.5004, 0.7504, 0.3744)
O (0.1025, 0.3116, 0.8048)
O (0.2388, 0.3629, 0.6489)
Li (0.4396, 0.5614, 0.6865)
Li (0.7492, 0.4996, 0.6252)
Li (0.5621, 0.9391, 0.1873)
V (0.9994, 0.5003, 0.0000)
O (0.1524, 0.2604, 0.3558)
O (0.3654, 0.9566, 0.2461)
Li (0.6883, 0.8117, 0.5621)
O (0.8690, 0.9605, 0.7537)
O (0.9880, 0.0987, 0.8968)
O (0.8993, 0.2012, 0.6898)
O (0.8477, 0.7401, 0.6438)
Li (0.2494, 0.4996, 0.3761)
Mn (0.0006, 0.0003, 0.5002)
O (0.8927, 0.6986, 0.8060)
P (0.3158, 0.6915, 0.5627)
O (0.4510, 0.6526, 0.5610)
O (0.5940, 0.0876, 0.2948)
Li (0.5622, 0.4366, 0.3135)
O (0.2033, 0.1116, 0.0040)
Li (0.0627, 0.4377, 0.6877)
O (0.1587, 0.6511, 0.9538)
O (0.2119, 0.6211, 0.4970)
P (0.9996, 0.7498, 0.1256)
O (0.6510, 0.2611, 0.6469)
O (0.1681, 0.1639, 0.5468)
P (0.0014, 0.2484, 0.3764)
O (0.0969, 0.0921, 0.7048)
O (0.8491, 0.2390, 0.8533)
V (0.7503, 0.2493, 0.2502)
O (0.6375, 0.0436, 0.7541)
O (0.9514, 0.1518, 0.0607)
V (0.2498, 0.7508, 0.7498)
P (0.4380, 0.5614, 0.1873)
O (0.0105, 0.3996, 0.3972)
O (0.3372, 0.3407, 0.9546)
O (0.7379, 0.3531, 0.3502)
O (0.3970, 0.1883, 0.6951)
P (0.8162, 0.1906, 0.0625)
O (0.7374, 0.8561, 0.1490)
P (0.4996, 0.7513, 0.8765)
P (0.5656, 0.9377, 0.6890)
Li (0.3133, 0.1882, 0.4377)
Li (0.7506, 0.9990, 0.3754)
Li (0.0600, 0.9388, 0.8134)
O (0.4099, 0.9106, 0.7046)
O (0.6312, 0.5404, 0.7463)
O (0.3981, 0.6911, 0.8067)
V (0.2505, 0.2494, 0.2497)
V (0.4994, 0.4995, 0.9997)
O (0.1365, 0.0467, 0.2479)
Li (0.1843, 0.3107, 0.0622)
O (0.3635, 0.4524, 0.2521)
O (0.7626, 0.6393, 0.3502)
O (0.2624, 0.6479, 0.6501)
O (0.5602, 0.8524, 0.4437)
O (0.2975, 0.3925, 0.4957)
O (0.8624, 0.4564, 0.7460)
O (0.6618, 0.6583, 0.0452)
O (0.7625, 0.1460, 0.1496)
O (0.7966, 0.8878, 0.9970)
Li (0.6879, 0.3098, 0.9387)
O (0.9073, 0.9128, 0.2949)
O (0.9390, 0.6483, 0.0561)
O (0.6073, 0.8017, 0.6939)
O (0.1050, 0.9876, 0.4003)
Li (0.2505, 0.9997, 0.1238)
O (0.4889, 0.0957, 0.1021)
O (0.3932, 0.0104, 0.3981)
O (0.0119, 0.9023, 0.1041)
P (0.9342, 0.5625, 0.8110)
O (0.5622, 0.3521, 0.0532)
O (0.3991, 0.1986, 0.3074)
V (0.7500, 0.2500, 0.7501)
O (0.5099, 0.9037, 0.8976)
Li (0.1894, 0.8127, 0.4384)
O (0.3489, 0.2366, 0.1439)
Li (0.2494, 0.5000, 0.8759)

Record 3
Below is crystalline Li6MnV3P6O24 at its relaxed geometry, with properties calculated at the PBE+U level.

- Space group: P-1, No. 2
- E_form: -2.650 eV/atom
- Polymorph energy (0 for the lowest one): 1.447 eV per formula unit

a = 8.6065 Å, b = 8.6787 Å, c = 12.7137 Å
α = 105.85°, β = 106.15°, γ = 94.60°
Positions (direct):
O (0.9864, 0.6634, 0.8000)
Li (0.0031, 0.9959, 0.6255)
O (0.5499, 0.7077, 0.8994)
Li (0.0060, 0.0041, 0.1221)
O (0.2645, 0.5373, 0.6329)
V (0.3784, 0.0560, 0.8185)
P (0.7154, 0.2893, 0.8752)
O (0.3424, 0.0094, 0.9524)
O (0.9512, 0.6021, 0.5891)
O (0.1612, 0.1516, 0.7970)
Li (0.2874, 0.7077, 0.3724)
P (0.7123, 0.2872, 0.3754)
O (0.3389, 0.0131, 0.4533)
P (0.3385, 0.1308, 0.0667)
P (0.1409, 0.3348, 0.8184)
O (0.5380, 0.2636, 0.8817)
O (0.7392, 0.4635, 0.8643)
O (0.7355, 0.4627, 0.3671)
O (0.2564, 0.8281, 0.2316)
Li (0.5034, 0.5007, 0.7509)
V (0.9422, 0.6206, 0.4296)
V (0.3798, 0.0562, 0.3193)
Mn (0.0595, 0.3701, 0.0653)
O (0.8475, 0.8598, 0.9489)
O (0.5352, 0.2628, 0.3827)
Li (0.9940, 0.9959, 0.8779)
Mn (0.9405, 0.6299, 0.9347)
P (0.8622, 0.6611, 0.6829)
O (0.9453, 0.6153, 0.0861)
O (0.8269, 0.2671, 0.9885)
V (0.6202, 0.9438, 0.6807)
O (0.8458, 0.8414, 0.4487)
O (0.7010, 0.5458, 0.1479)
O (0.7034, 0.5430, 0.6481)
Li (0.7142, 0.2903, 0.1252)
O (0.0136, 0.3366, 0.2000)
Li (0.9969, 0.0041, 0.3745)
O (0.6611, 0.9869, 0.5467)
V (0.6216, 0.9440, 0.1815)
O (0.7398, 0.1742, 0.2666)
O (0.8388, 0.8484, 0.2030)
P (0.6618, 0.8624, 0.4329)
Li (0.2858, 0.7097, 0.8748)
O (0.1730, 0.7391, 0.5153)
O (0.7436, 0.1719, 0.7684)
Li (0.4966, 0.4993, 0.2491)
O (0.4501, 0.2923, 0.1006)
O (0.4567, 0.2956, 0.6020)
O (0.1525, 0.1402, 0.0511)
Li (0.7126, 0.2923, 0.6276)
O (0.6030, 0.9508, 0.3387)
O (0.2602, 0.8258, 0.7334)
P (0.2846, 0.7107, 0.1248)
O (0.9860, 0.6593, 0.2944)
O (0.1584, 0.1571, 0.3038)
V (0.0578, 0.3794, 0.5704)
O (0.2966, 0.4570, 0.3519)
O (0.5979, 0.9540, 0.8377)
O (0.5433, 0.7044, 0.3980)
O (0.1731, 0.7329, 0.0115)
O (0.8416, 0.8429, 0.6962)
O (0.4648, 0.7372, 0.6173)
O (0.1542, 0.1586, 0.5513)
O (0.0488, 0.3979, 0.4109)
P (0.3382, 0.1376, 0.5671)
P (0.6615, 0.8692, 0.9333)
O (0.8270, 0.2609, 0.4847)
O (0.4021, 0.0460, 0.1623)
O (0.3970, 0.0492, 0.6613)
O (0.0547, 0.3847, 0.9139)
O (0.6576, 0.9906, 0.0476)
P (0.1378, 0.3389, 0.3170)
P (0.8591, 0.6652, 0.1816)
O (0.2608, 0.5365, 0.1357)
Li (0.5000, 0.5000, 0.0000)
Li (0.5000, 0.5000, 0.5000)
P (0.2877, 0.7128, 0.6246)
O (0.2990, 0.4542, 0.8521)
O (0.4620, 0.7364, 0.1183)
O (0.0140, 0.3407, 0.7056)

Record 4
Below is crystalline Li6MnV3P6O24 at its relaxed geometry, with properties calculated at the PBE+U level.

- Space group: P1, No. 1
- E_form: -2.649 eV/atom
- Polymorph energy (0 for the lowest one): 1.466 eV per formula unit

a = 8.4560 Å, b = 8.5976 Å, c = 8.6470 Å
α = 61.42°, β = 61.75°, γ = 62.78°
Positions (direct):
O (0.5308, 0.8174, 0.1120)
Li (0.8717, 0.7415, 0.6616)
O (0.0306, 0.1089, 0.7985)
O (0.9136, 0.5444, 0.2746)
O (0.7631, 0.0625, 0.4167)
P (0.7499, 0.5489, 0.4640)
V (0.3630, 0.8548, 0.3550)
V (0.6360, 0.1454, 0.6449)
O (0.7477, 0.6123, 0.9240)
O (0.8835, 0.9789, 0.7010)
O (0.5400, 0.9173, 0.7743)
P (0.2479, 0.4501, 0.5370)
O (0.9417, 0.2341, 0.0788)
O (0.3935, 0.2556, 0.5790)
O (0.1859, 0.4643, 0.3890)
Li (0.9969, 0.5011, 0.9993)
O (0.4658, 0.1877, 0.8890)
O (0.9766, 0.8842, 0.2017)
Li (0.1276, 0.2579, 0.3405)
Li (0.4993, 0.9998, 0.5006)
O (0.6817, 0.3858, 0.5266)
O (0.0813, 0.4540, 0.7281)
O (0.0622, 0.7621, 0.9169)
O (0.3156, 0.6121, 0.4794)
O (0.6043, 0.7442, 0.4220)
O (0.1164, 0.0214, 0.2987)
Mn (0.8560, 0.3625, 0.8508)
O (0.2563, 0.3951, 0.0770)
Li (0.7423, 0.8736, 0.1587)
P (0.4529, 0.2499, 0.0362)
P (0.0517, 0.9488, 0.7498)
O (0.6173, 0.3197, 0.9744)
Li (0.2552, 0.1254, 0.8418)
P (0.9498, 0.0488, 0.2483)
O (0.2381, 0.9350, 0.5810)
O (0.3876, 0.6813, 0.0247)
O (0.8106, 0.5380, 0.6126)
V (0.1463, 0.6364, 0.1428)
P (0.5504, 0.7528, 0.9631)
O (0.4584, 0.0862, 0.2257)

Record 5
Below is crystalline Li6MnV3P6O24 at its relaxed geometry, with properties calculated at the PBE+U level.

- Space group: P1, No. 1
- E_form: -2.681 eV/atom
- Polymorph energy (0 for the lowest one): 0.208 eV per formula unit

a = 8.5725 Å, b = 8.7697 Å, c = 12.0631 Å
α = 90.28°, β = 91.09°, γ = 90.14°
Positions (direct):
O (0.3113, 0.3231, 0.0662)
P (0.5427, 0.7503, 0.9898)
O (0.7302, 0.9720, 0.2791)
P (0.6133, 0.8824, 0.3490)
O (0.6875, 0.6786, 0.9347)
Li (0.5654, 0.0141, 0.8468)
Mn (0.7540, 0.4635, 0.8910)
O (0.3714, 0.5066, 0.2545)
Li (0.6804, 0.2788, 0.6785)
Li (0.5800, 0.5861, 0.1909)
Li (0.9352, 0.5134, 0.6529)
V (0.7451, 0.9658, 0.6092)
Li (0.8207, 0.7799, 0.8227)
O (0.1735, 0.7304, 0.1874)
O (0.2313, 0.5288, 0.7747)
O (0.1847, 0.8224, 0.4338)
O (0.1395, 0.5790, 0.9689)
O (0.8740, 0.9946, 0.7525)
Li (0.4341, 0.9884, 0.1537)
P (0.4571, 0.2515, 0.0098)
V (0.2551, 0.0341, 0.3912)
O (0.7625, 0.0498, 0.9352)
P (0.0399, 0.7510, 0.4907)
P (0.1144, 0.8887, 0.1467)
O (0.3998, 0.1388, 0.9178)
Li (0.9205, 0.0855, 0.3094)
P (0.3856, 0.3896, 0.3530)
O (0.0509, 0.1279, 0.4450)
O (0.6233, 0.7054, 0.3306)
O (0.1274, 0.0061, 0.2463)
O (0.9484, 0.8862, 0.1011)
O (0.6301, 0.4925, 0.7482)
O (0.5460, 0.3728, 0.9459)
O (0.3273, 0.2310, 0.3127)
Mn (0.7522, 0.0285, 0.1063)
O (0.8150, 0.1778, 0.5657)
V (0.2435, 0.9730, 0.8958)
V (0.2547, 0.4713, 0.6055)
P (0.3867, 0.1172, 0.6525)
O (0.6019, 0.8635, 0.0836)
Li (0.4200, 0.4128, 0.8100)
O (0.8295, 0.2703, 0.8116)
P (0.1144, 0.6182, 0.8463)
O (0.4460, 0.8351, 0.9006)
O (0.5589, 0.0782, 0.6895)
V (0.7448, 0.5278, 0.3951)
O (0.9488, 0.8722, 0.5544)
O (0.0554, 0.3345, 0.6002)
O (0.5531, 0.3901, 0.3973)
O (0.0983, 0.6398, 0.5819)
Li (0.0799, 0.9135, 0.6905)
O (0.1269, 0.7948, 0.8304)
P (0.8849, 0.1109, 0.8528)
O (0.7356, 0.5494, 0.5627)
O (0.9436, 0.5818, 0.8078)
O (0.3620, 0.0791, 0.5297)
O (0.9016, 0.3604, 0.4174)
V (0.2444, 0.5351, 0.1080)
O (0.2702, 0.0285, 0.7238)
O (0.4511, 0.6319, 0.0562)
P (0.6161, 0.6104, 0.6487)
P (0.8837, 0.3812, 0.1495)
P (0.9599, 0.2490, 0.5094)
O (0.8758, 0.2029, 0.1662)
O (0.2654, 0.4498, 0.4391)
O (0.0560, 0.4200, 0.1874)
O (0.5513, 0.1689, 0.1018)
O (0.7689, 0.4693, 0.2232)
Li (0.1800, 0.2194, 0.1776)
O (0.4485, 0.6080, 0.6050)
O (0.0522, 0.1099, 0.8979)
O (0.2366, 0.9503, 0.0629)
O (0.6727, 0.7693, 0.6885)
O (0.4414, 0.9207, 0.3109)
Li (0.0651, 0.4866, 0.3468)
Li (0.3196, 0.7211, 0.3217)
O (0.9444, 0.6650, 0.3995)
O (0.8617, 0.4194, 0.0269)
O (0.6364, 0.9198, 0.4717)
O (0.3783, 0.2941, 0.6698)